(1)
# Pr2MnSi2 (PBE-GGA, relaxed)
data_Pr2MnSi2
_chemical_formula_sum 'Pr2 Mn1 Si2'
_space_group_name_H-M_alt 'P 1'
_space_group_IT_number 1
_cell_length_a 2.936
_cell_length_b 2.936
_cell_length_c 14.207
_cell_angle_alpha 90.00
_cell_angle_beta 90.00
_cell_angle_gamma 90.00
loop_
_space_group_symop_operation_xyz
'x,y,z'
loop_
_atom_site_label
_atom_site_type_symbol
_atom_site_fract_x
_atom_site_fract_y
_atom_site_fract_z
Pr1 Pr 0.000 0.000 0.129
Pr2 Pr 0.000 0.000 0.871
Mn1 Mn 0.000 0.000 0.500
Si1 Si 0.000 0.000 0.337
Si2 Si 0.000 0.000 0.663
# E_form ... 0.903 eV per atom
# Total DFT energy (no corrections) ... -5.04 eV/atom



(2)
# PdS4N4 (PBE-GGA, relaxed)
data_PdS4N4
_chemical_formula_sum 'Pd4 S16 N16'
_space_group_name_H-M_alt 'P 1'
_space_group_IT_number 1
_cell_length_a 9.126
_cell_length_b 13.438
_cell_length_c 8.472
_cell_angle_alpha 90.00
_cell_angle_beta 112.78
_cell_angle_gamma 90.00
loop_
_space_group_symop_operation_xyz
'x,y,z'
loop_
_atom_site_label
_atom_site_type_symbol
_atom_site_fract_x
_atom_site_fract_y
_atom_site_fract_z
Pd1 Pd 0.223 0.143 0.274
Pd2 Pd 0.223 0.357 0.774
Pd3 Pd 0.777 0.643 0.226
Pd4 Pd 0.777 0.857 0.726
S1 S 0.116 0.596 0.266
S2 S 0.116 0.904 0.766
S3 S 0.146 0.516 0.770
S4 S 0.146 0.984 0.270
S5 S 0.466 0.195 0.798
S6 S 0.466 0.305 0.298
S7 S 0.471 0.101 0.305
S8 S 0.471 0.399 0.805
S9 S 0.529 0.601 0.195
S10 S 0.529 0.899 0.695
S11 S 0.534 0.695 0.702
S12 S 0.534 0.805 0.202
S13 S 0.854 0.016 0.730
S14 S 0.854 0.484 0.230
S15 S 0.884 0.096 0.234
S16 S 0.884 0.404 0.734
N1 N 0.001 0.181 0.245
N2 N 0.001 0.319 0.745
N3 N 0.039 0.015 0.753
N4 N 0.039 0.485 0.253
N5 N 0.294 0.214 0.779
N6 N 0.294 0.286 0.279
N7 N 0.432 0.704 0.187
N8 N 0.432 0.796 0.687
N9 N 0.568 0.204 0.313
N10 N 0.568 0.296 0.813
N11 N 0.706 0.714 0.721
N12 N 0.706 0.786 0.221
N13 N 0.961 0.515 0.747
N14 N 0.961 0.985 0.247
N15 N 0.999 0.681 0.255
N16 N 0.999 0.819 0.755
# E_form ... 0.397 eV per atom
# Total DFT energy (no corrections) ... -5.56 eV/atom
# ΔE to the lowest computed polymorph ... 0 meV/atom



(3)
# La3Pb (PBE-GGA, relaxed)
data_La3Pb
_chemical_formula_sum 'La3 Pb1'
_space_group_name_H-M_alt 'P 1'
_space_group_IT_number 1
_cell_length_a 5.090
_cell_length_b 5.090
_cell_length_c 5.090
_cell_angle_alpha 90.00
_cell_angle_beta 90.00
_cell_angle_gamma 90.00
loop_
_space_group_symop_operation_xyz
'x,y,z'
loop_
_atom_site_label
_atom_site_type_symbol
_atom_site_fract_x
_atom_site_fract_y
_atom_site_fract_z
La1 La 0.000 0.000 0.500
La2 La 0.000 0.500 0.000
La3 La 0.500 0.000 0.000
Pb1 Pb 0.500 0.500 0.500
# E_form ... -0.376 eV per atom
# Total DFT energy (no corrections) ... -5.01 eV/atom



(4)
# RbHgC3N3O3 (PBE-GGA, relaxed)
data_RbHgC3N3O3
_chemical_formula_sum 'Rb4 Hg4 C12 N12 O12'
_space_group_name_H-M_alt 'P 1'
_space_group_IT_number 1
_cell_length_a 10.742
_cell_length_b 4.198
_cell_length_c 18.406
_cell_angle_alpha 90.00
_cell_angle_beta 90.00
_cell_angle_gamma 90.00
loop_
_space_group_symop_operation_xyz
'x,y,z'
loop_
_atom_site_label
_atom_site_type_symbol
_atom_site_fract_x
_atom_site_fract_y
_atom_site_fract_z
Rb1 Rb 0.070 0.250 0.158
Rb2 Rb 0.430 0.750 0.658
Rb3 Rb 0.570 0.250 0.342
Rb4 Rb 0.930 0.750 0.842
Hg1 Hg 0.149 0.250 0.540
Hg2 Hg 0.351 0.750 0.040
Hg3 Hg 0.649 0.250 0.960
Hg4 Hg 0.851 0.750 0.460
C1 C 0.100 0.250 0.379
C2 C 0.137 0.250 0.971
C3 C 0.143 0.250 0.705
C4 C 0.357 0.750 0.205
C5 C 0.363 0.750 0.471
C6 C 0.400 0.750 0.879
C7 C 0.600 0.250 0.121
C8 C 0.637 0.250 0.529
C9 C 0.643 0.250 0.795
C10 C 0.857 0.750 0.295
C11 C 0.863 0.750 0.029
C12 C 0.900 0.750 0.621
N1 N 0.052 0.250 0.438
N2 N 0.207 0.250 0.651
N3 N 0.227 0.250 0.010
N4 N 0.273 0.750 0.510
N5 N 0.293 0.750 0.151
N6 N 0.448 0.750 0.938
N7 N 0.552 0.250 0.062
N8 N 0.707 0.250 0.849
N9 N 0.727 0.250 0.490
N10 N 0.773 0.750 0.990
N11 N 0.793 0.750 0.349
N12 N 0.948 0.750 0.562
O1 O 0.045 0.250 0.933
O2 O 0.086 0.250 0.762
O3 O 0.140 0.250 0.318
O4 O 0.360 0.750 0.818
O5 O 0.414 0.750 0.262
O6 O 0.455 0.750 0.433
O7 O 0.545 0.250 0.567
O8 O 0.586 0.250 0.738
O9 O 0.640 0.250 0.182
O10 O 0.860 0.750 0.682
O11 O 0.914 0.750 0.238
O12 O 0.955 0.750 0.067
# E_form ... -0.756 eV per atom
# Total DFT energy (no corrections) ... -6.83 eV/atom



(5)
# SiO2 (PBE-GGA, relaxed)
data_SiO2
_chemical_formula_sum 'Si16 O32'
_space_group_name_H-M_alt 'P 1'
_space_group_IT_number 1
_cell_length_a 7.488
_cell_length_b 11.561
_cell_length_c 11.678
_cell_angle_alpha 104.85
_cell_angle_beta 94.75
_cell_angle_gamma 96.17
loop_
_space_group_symop_operation_xyz
'x,y,z'
loop_
_atom_site_label
_atom_site_type_symbol
_atom_site_fract_x
_atom_site_fract_y
_atom_site_fract_z
Si1 Si 0.045 0.238 0.068
Si2 Si 0.075 0.541 0.742
Si3 Si 0.221 0.413 0.928
Si4 Si 0.304 0.559 0.376
Si5 Si 0.330 0.867 0.059
Si6 Si 0.389 0.640 0.145
Si7 Si 0.410 0.143 0.143
Si8 Si 0.431 0.639 0.642
Si9 Si 0.569 0.361 0.358
Si10 Si 0.590 0.857 0.857
Si11 Si 0.611 0.360 0.855
Si12 Si 0.670 0.133 0.941
Si13 Si 0.696 0.441 0.624
Si14 Si 0.779 0.587 0.072
Si15 Si 0.925 0.459 0.258
Si16 Si 0.955 0.762 0.932
O1 O 0.019 0.667 0.820
O2 O 0.085 0.523 0.366
O3 O 0.099 0.448 0.824
O4 O 0.107 0.306 0.968
O5 O 0.126 0.864 0.995
O6 O 0.208 0.176 0.116
O7 O 0.263 0.568 0.688
O8 O 0.269 0.530 0.043
O9 O 0.330 0.769 0.137
O10 O 0.357 0.628 0.276
O11 O 0.373 0.649 0.508
O12 O 0.395 0.002 0.146
O13 O 0.398 0.436 0.357
O14 O 0.400 0.364 0.876
O15 O 0.469 0.833 0.960
O16 O 0.492 0.774 0.728
O17 O 0.508 0.226 0.272
O18 O 0.531 0.167 0.040
O19 O 0.600 0.636 0.124
O20 O 0.602 0.564 0.643
O21 O 0.605 0.998 0.854
O22 O 0.627 0.351 0.492
O23 O 0.643 0.372 0.724
O24 O 0.670 0.231 0.863
O25 O 0.731 0.470 0.957
O26 O 0.737 0.432 0.312
O27 O 0.792 0.824 0.884
O28 O 0.874 0.136 0.005
O29 O 0.893 0.694 0.032
O30 O 0.901 0.552 0.176
O31 O 0.915 0.477 0.634
O32 O 0.981 0.333 0.180
# E_form ... -3.252 eV per atom
# Total DFT energy (no corrections) ... -7.90 eV/atom



(6)
# Rb3BiCl6 (PBE-GGA, relaxed)
data_Rb3BiCl6
_chemical_formula_sum 'Rb3 Bi1 Cl6'
_space_group_name_H-M_alt 'P 1'
_space_group_IT_number 1
_cell_length_a 8.242
_cell_length_b 8.242
_cell_length_c 8.242
_cell_angle_alpha 60.00
_cell_angle_beta 60.00
_cell_angle_gamma 60.00
loop_
_space_group_symop_operation_xyz
'x,y,z'
loop_
_atom_site_label
_atom_site_type_symbol
_atom_site_fract_x
_atom_site_fract_y
_atom_site_fract_z
Rb1 Rb 0.000 0.000 0.000
Rb2 Rb 0.250 0.250 0.250
Rb3 Rb 0.750 0.750 0.750
Bi1 Bi 0.500 0.500 0.500
Cl1 Cl 0.267 0.267 0.733
Cl2 Cl 0.267 0.733 0.267
Cl3 Cl 0.267 0.733 0.733
Cl4 Cl 0.733 0.267 0.267
Cl5 Cl 0.733 0.267 0.733
Cl6 Cl 0.733 0.733 0.267
# E_form ... -1.921 eV per atom
# Total DFT energy (no corrections) ... -3.35 eV/atom



(7)
# Sm3Cu4Ge4 (PBE-GGA, relaxed)
data_Sm3Cu4Ge4
_chemical_formula_sum 'Sm3 Cu4 Ge4'
_space_group_name_H-M_alt 'P 1'
_space_group_IT_number 1
_cell_length_a 8.149
_cell_length_b 8.149
_cell_length_c 8.149
_cell_angle_alpha 149.42
_cell_angle_beta 131.44
_cell_angle_gamma 58.48
loop_
_space_group_symop_operation_xyz
'x,y,z'
loop_
_atom_site_label
_atom_site_type_symbol
_atom_site_fract_x
_atom_site_fract_y
_atom_site_fract_z
Sm1 Sm 0.000 0.000 0.000
Sm2 Sm 0.369 0.869 0.500
Sm3 Sm 0.631 0.131 0.500
Cu1 Cu 0.020 0.332 0.689
Cu2 Cu 0.357 0.668 0.689
Cu3 Cu 0.643 0.332 0.311
Cu4 Cu 0.980 0.668 0.311
Ge1 Ge 0.215 0.215 0.000
Ge2 Ge 0.310 0.500 0.810
Ge3 Ge 0.690 0.500 0.190
Ge4 Ge 0.785 0.785 0.000
# E_form ... -0.621 eV per atom
# Total DFT energy (no corrections) ... -5.08 eV/atom



(8)
# AuS3O9F3 (PBE-GGA, relaxed)
data_AuS3O9F3
_chemical_formula_sum 'Au4 S12 O36 F12'
_space_group_name_H-M_alt 'P 1'
_space_group_IT_number 1
_cell_length_a 11.141
_cell_length_b 9.675
_cell_length_c 10.024
_cell_angle_alpha 90.00
_cell_angle_beta 94.13
_cell_angle_gamma 90.00
loop_
_space_group_symop_operation_xyz
'x,y,z'
loop_
_atom_site_label
_atom_site_type_symbol
_atom_site_fract_x
_atom_site_fract_y
_atom_site_fract_z
Au1 Au 0.170 0.004 0.149
Au2 Au 0.170 0.496 0.649
Au3 Au 0.830 0.504 0.351
Au4 Au 0.830 0.996 0.851
S1 S 0.110 0.601 0.351
S2 S 0.110 0.899 0.851
S3 S 0.191 0.108 0.448
S4 S 0.191 0.392 0.948
S5 S 0.425 0.621 0.689
S6 S 0.425 0.879 0.189
S7 S 0.575 0.121 0.811
S8 S 0.575 0.379 0.311
S9 S 0.809 0.608 0.052
S10 S 0.809 0.892 0.552
S11 S 0.890 0.101 0.149
S12 S 0.890 0.399 0.649
O1 O 0.017 0.011 0.846
O2 O 0.017 0.489 0.346
O3 O 0.087 0.719 0.270
O4 O 0.087 0.781 0.770
O5 O 0.147 0.526 0.974
O6 O 0.147 0.974 0.474
O7 O 0.152 0.228 0.517
O8 O 0.152 0.272 0.017
O9 O 0.153 0.637 0.492
O10 O 0.153 0.863 0.992
O11 O 0.183 0.147 0.298
O12 O 0.183 0.353 0.798
O13 O 0.351 0.010 0.142
O14 O 0.351 0.490 0.642
O15 O 0.366 0.701 0.784
O16 O 0.366 0.799 0.284
O17 O 0.453 0.076 0.790
O18 O 0.453 0.424 0.290
O19 O 0.547 0.576 0.710
O20 O 0.547 0.924 0.210
O21 O 0.634 0.201 0.716
O22 O 0.634 0.299 0.216
O23 O 0.649 0.510 0.358
O24 O 0.649 0.990 0.858
O25 O 0.817 0.647 0.202
O26 O 0.817 0.853 0.702
O27 O 0.847 0.137 0.008
O28 O 0.847 0.363 0.508
O29 O 0.848 0.728 0.983
O30 O 0.848 0.772 0.483
O31 O 0.853 0.026 0.526
O32 O 0.853 0.474 0.026
O33 O 0.913 0.219 0.230
O34 O 0.913 0.281 0.730
O35 O 0.983 0.511 0.654
O36 O 0.983 0.989 0.154
F1 F 0.217 0.517 0.299
F2 F 0.217 0.983 0.799
F3 F 0.333 0.102 0.479
F4 F 0.333 0.398 0.979
F5 F 0.418 0.709 0.555
F6 F 0.418 0.791 0.055
F7 F 0.582 0.209 0.945
F8 F 0.582 0.291 0.445
F9 F 0.667 0.602 0.021
F10 F 0.667 0.898 0.521
F11 F 0.783 0.017 0.201
F12 F 0.783 0.483 0.701
# E_form ... -1.647 eV per atom
# Total DFT energy (no corrections) ... -5.30 eV/atom



(9)
# CeSe2 (PBE-GGA, relaxed)
data_CeSe2
_chemical_formula_sum 'Ce8 Se16'
_space_group_name_H-M_alt 'P 1'
_space_group_IT_number 1
_cell_length_a 11.511
_cell_length_b 11.511
_cell_length_c 11.606
_cell_angle_alpha 90.00
_cell_angle_beta 90.00
_cell_angle_gamma 90.00
loop_
_space_group_symop_operation_xyz
'x,y,z'
loop_
_atom_site_label
_atom_site_type_symbol
_atom_site_fract_x
_atom_site_fract_y
_atom_site_fract_z
Ce1 Ce 0.047 0.297 0.047
Ce2 Ce 0.203 0.453 0.453
Ce3 Ce 0.297 0.953 0.953
Ce4 Ce 0.453 0.797 0.547
Ce5 Ce 0.547 0.203 0.547
Ce6 Ce 0.703 0.047 0.953
Ce7 Ce 0.797 0.547 0.453
Ce8 Ce 0.953 0.703 0.047
Se1 Se 0.000 0.500 0.563
Se2 Se 0.000 0.500 0.937
Se3 Se 0.153 0.347 0.250
Se4 Se 0.157 0.814 0.083
Se5 Se 0.186 0.157 0.917
Se6 Se 0.314 0.657 0.417
Se7 Se 0.343 0.314 0.583
Se8 Se 0.347 0.847 0.750
Se9 Se 0.500 0.000 0.063
Se10 Se 0.500 0.000 0.437
Se11 Se 0.653 0.153 0.750
Se12 Se 0.657 0.686 0.583
Se13 Se 0.686 0.343 0.417
Se14 Se 0.814 0.843 0.917
Se15 Se 0.843 0.186 0.083
Se16 Se 0.847 0.653 0.250
# E_form ... -1.409 eV per atom
# Total DFT energy (no corrections) ... -5.40 eV/atom



(10)
# PbClF (PBE-GGA, relaxed)
data_PbClF
_chemical_formula_sum 'Pb2 Cl2 F2'
_space_group_name_H-M_alt 'P 1'
_space_group_IT_number 1
_cell_length_a 4.156
_cell_length_b 4.156
_cell_length_c 7.337
_cell_angle_alpha 90.00
_cell_angle_beta 90.00
_cell_angle_gamma 90.00
loop_
_space_group_symop_operation_xyz
'x,y,z'
loop_
_atom_site_label
_atom_site_type_symbol
_atom_site_fract_x
_atom_site_fract_y
_atom_site_fract_z
Pb1 Pb 0.250 0.250 0.206
Pb2 Pb 0.750 0.750 0.794
Cl1 Cl 0.250 0.250 0.649
Cl2 Cl 0.750 0.750 0.351
F1 F 0.250 0.750 0.000
F2 F 0.750 0.250 0.000
# E_form ... -1.939 eV per atom
# Total DFT energy (no corrections) ... -4.28 eV/atom



(11)
# SrBeH4O4 (PBE-GGA, relaxed)
data_SrBeH4O4
_chemical_formula_sum 'Sr8 Be8 H32 O32'
_space_group_name_H-M_alt 'P 1'
_space_group_IT_number 1
_cell_length_a 11.085
_cell_length_b 11.085
_cell_length_c 11.085
_cell_angle_alpha 126.30
_cell_angle_beta 126.30
_cell_angle_gamma 79.39
loop_
_space_group_symop_operation_xyz
'x,y,z'
loop_
_atom_site_label
_atom_site_type_symbol
_atom_site_fract_x
_atom_site_fract_y
_atom_site_fract_z
Sr1 Sr 0.125 0.375 0.750
Sr2 Sr 0.125 0.875 0.250
Sr3 Sr 0.375 0.125 0.250
Sr4 Sr 0.375 0.625 0.750
Sr5 Sr 0.625 0.375 0.250
Sr6 Sr 0.625 0.875 0.750
Sr7 Sr 0.875 0.125 0.750
Sr8 Sr 0.875 0.625 0.250
Be1 Be 0.219 0.250 0.469
Be2 Be 0.250 0.281 0.031
Be3 Be 0.250 0.781 0.531
Be4 Be 0.281 0.750 0.031
Be5 Be 0.719 0.250 0.969
Be6 Be 0.750 0.219 0.469
Be7 Be 0.750 0.719 0.969
Be8 Be 0.781 0.750 0.531
H1 H 0.024 0.688 0.853
H2 H 0.029 0.094 0.152
H3 H 0.058 0.406 0.435
H4 H 0.094 0.442 0.065
H5 H 0.123 0.971 0.565
H6 H 0.165 0.812 0.836
H7 H 0.171 0.024 0.836
H8 H 0.188 0.524 0.353
H9 H 0.312 0.665 0.336
H10 H 0.329 0.165 0.853
H11 H 0.335 0.171 0.647
H12 H 0.377 0.942 0.848
H13 H 0.406 0.471 0.348
H14 H 0.442 0.877 0.348
H15 H 0.471 0.623 0.065
H16 H 0.476 0.329 0.664
H17 H 0.524 0.671 0.336
H18 H 0.529 0.377 0.935
H19 H 0.558 0.123 0.652
H20 H 0.594 0.529 0.652
H21 H 0.623 0.058 0.152
H22 H 0.665 0.829 0.353
H23 H 0.671 0.835 0.147
H24 H 0.688 0.335 0.664
H25 H 0.812 0.476 0.647
H26 H 0.829 0.976 0.164
H27 H 0.835 0.188 0.164
H28 H 0.877 0.029 0.435
H29 H 0.906 0.558 0.935
H30 H 0.942 0.594 0.565
H31 H 0.971 0.906 0.848
H32 H 0.976 0.312 0.147
O1 O 0.105 0.861 0.476
O2 O 0.110 0.673 0.944
O3 O 0.114 0.371 0.976
O4 O 0.129 0.386 0.524
O5 O 0.139 0.114 0.244
O6 O 0.166 0.110 0.937
O7 O 0.173 0.610 0.444
O8 O 0.229 0.166 0.556
O9 O 0.271 0.827 0.937
O10 O 0.327 0.771 0.437
O11 O 0.334 0.271 0.944
O12 O 0.361 0.605 0.976
O13 O 0.371 0.895 0.256
O14 O 0.386 0.361 0.256
O15 O 0.390 0.334 0.563
O16 O 0.395 0.871 0.756
O17 O 0.605 0.129 0.244
O18 O 0.610 0.666 0.437
O19 O 0.614 0.639 0.744
O20 O 0.629 0.105 0.744
O21 O 0.639 0.395 0.024
O22 O 0.666 0.729 0.056
O23 O 0.673 0.229 0.563
O24 O 0.729 0.173 0.063
O25 O 0.771 0.834 0.444
O26 O 0.827 0.390 0.556
O27 O 0.834 0.890 0.063
O28 O 0.861 0.886 0.756
O29 O 0.871 0.614 0.476
O30 O 0.886 0.629 0.024
O31 O 0.890 0.327 0.056
O32 O 0.895 0.139 0.524
# E_form ... -2.059 eV per atom
# Total DFT energy (no corrections) ... -5.66 eV/atom



(12)
# Tc3W (PBE-GGA, relaxed)
data_Tc3W
_chemical_formula_sum 'Tc6 W2'
_space_group_name_H-M_alt 'P 1'
_space_group_IT_number 1
_cell_length_a 5.565
_cell_length_b 5.565
_cell_length_c 4.481
_cell_angle_alpha 90.00
_cell_angle_beta 90.00
_cell_angle_gamma 120.00
loop_
_space_group_symop_operation_xyz
'x,y,z'
loop_
_atom_site_label
_atom_site_type_symbol
_atom_site_fract_x
_atom_site_fract_y
_atom_site_fract_z
Tc1 Tc 0.167 0.334 0.250
Tc2 Tc 0.167 0.833 0.250
Tc3 Tc 0.334 0.167 0.750
Tc4 Tc 0.666 0.833 0.250
Tc5 Tc 0.833 0.167 0.750
Tc6 Tc 0.833 0.666 0.750
W1 W 0.333 0.667 0.750
W2 W 0.667 0.333 0.250
# E_form ... 0.107 eV per atom
# Total DFT energy (no corrections) ... -10.90 eV/atom